(1)
VASP calculation (GGA+U) on Ba3MgV4O14 after structural relaxation.

Properties
The value obtained for the theoretical density is 4.099 g/cm3. The calculation puts the formation energy at -62.8 eV per formula unit. As for the MP2020-corrected energy: -703.1 eV/cell.

Lattice parameters (Å, degrees): 7.297 14.190 14.303 90.00 109.05 90.00
Space group P2_1/c (No. 14)
Asymmetric unit:
Ba (0.058, 0.230, 0.296)
Ba (0.271, 0.607, 0.015)
Ba (0.391, 0.555, 0.718)
Mg (0.380, 0.098, 0.993)
V (0.101, 0.028, 0.760)
V (0.110, 0.609, 0.451)
V (0.304, 0.170, 0.551)
V (0.486, 0.187, 0.232)
O (0.002, 0.059, 0.175)
O (0.048, 0.108, 0.983)
O (0.085, 0.131, 0.476)
O (0.092, 0.599, 0.800)
O (0.150, 0.722, 0.426)
O (0.196, 0.523, 0.179)
O (0.277, 0.098, 0.842)
O (0.303, 0.743, 0.199)
O (0.310, 0.221, 0.672)
O (0.336, 0.553, 0.514)
O (0.382, 0.248, 0.984)
O (0.397, 0.125, 0.311)
O (0.462, 0.076, 0.577)
O (0.500, 0.109, 0.143)

(2)
VASP calculation (GGA+U) on BaMgV4O8 after structural relaxation.

Properties
The value obtained for the theoretical density is 4.256 g/cm3. The calculation puts the formation energy at -35.4 eV per formula unit. As for the MP2020-corrected energy: -114.9 eV/cell.

Lattice parameters (Å, degrees): 5.4729 5.4729 7.4206 90.00 90.00 120.00
Space group P-31m (No. 162)
Asymmetric unit:
Ba (0.0000, 0.0000, 0.0000)
Mg (0.0000, 0.0000, 0.5000)
V (0.3333, 0.6667, 0.2562)
O (0.0000, 0.3155, 0.3237)
O (0.3333, 0.6667, 0.0000)

Q: formation energy of number 2 (BaMgV4O8)?
A: -35.4 eV per formula unit